No. 1
Compound: K2Au3
Source: the Materials Project database
Functional: PBE-GGA
Structure: relaxed

Structure (CIF):
```
data_K2Au3
_cell_length_a 4.968
_cell_length_b 5.606
_cell_length_c 6.330
_cell_angle_alpha 116.29
_cell_angle_beta 113.10
_cell_angle_gamma 90.00
_symmetry_space_group_name_H-M 'P 1'
_symmetry_Int_Tables_number 1
_symmetry_space_group_name_Hall 'P 1'
loop_
_atom_site_label
_atom_site_type_symbol
_atom_site_fract_x
_atom_site_fract_y
_atom_site_fract_z
Au1 Au 0.000 0.746 0.000
Au2 Au 0.000 0.254 0.000
Au3 Au 0.500 0.000 0.000
K1 K 0.694 0.694 0.388
K2 K 0.306 0.306 0.612
```

Density: 7.818 g/cm³
Raw total energy: -2.75 eV per atom
ΔH_f (0 K): -0.34 eV per atom
Space group: Immm

***

No. 2
Compound: Te6Mo3WS2
Source: the Materials Project database
Functional: PBE-GGA
Structure: relaxed

Structure (CIF):
```
data_Te6Mo3WS2
_cell_length_a 3.451
_cell_length_b 3.451
_cell_length_c 39.271
_cell_angle_alpha 90.00
_cell_angle_beta 90.00
_cell_angle_gamma 120.00
_symmetry_space_group_name_H-M 'P 1'
_symmetry_Int_Tables_number 1
_symmetry_space_group_name_Hall 'P 1'
loop_
_atom_site_label
_atom_site_type_symbol
_atom_site_fract_x
_atom_site_fract_y
_atom_site_fract_z
Mo1 Mo 0.333 0.667 0.282
Mo2 Mo 0.000 0.000 0.094
Mo3 Mo 0.333 0.667 0.658
Te1 Te 0.000 0.000 0.610
Te2 Te 0.000 0.000 0.329
Te3 Te 0.333 0.667 0.047
Te4 Te 0.333 0.667 0.141
Te5 Te 0.000 0.000 0.705
Te6 Te 0.000 0.000 0.235
S1 S 0.333 0.667 0.508
S2 S 0.333 0.667 0.432
W1 W 0.000 0.000 0.470
```

Density: 5.336 g/cm³
Raw total energy: -6.40 eV per atom
Energy above the most stable polymorph in this dataset: 0 meV/atom
ΔH_f (0 K): -0.43 eV per atom
Space group: P3m1